Here is PrP5O14 after structural relaxation from the Materials Project. Energies are from meta-GGA r2SCAN.

Cell and atoms, written as POSCAR:
```
PrP5O14
1.0
8.806 0.000 0.000
0.000 9.054 0.000
-0.081 0.000 13.093
Pr P O
4 20 56
Cartesian
1.963 1.731 0.012 Pr
1.923 2.796 6.558 Pr
6.803 6.258 6.535 Pr
6.762 7.323 13.081 Pr
-0.011 4.561 9.241 P
0.029 9.020 2.694 P
1.604 6.755 6.546 P
1.645 6.826 0.000 P
2.265 4.976 2.148 P
2.224 8.605 8.695 P
2.318 4.998 10.956 P
2.358 8.583 4.410 P
4.298 0.014 10.799 P
4.339 4.513 4.253 P
4.386 4.541 8.839 P
4.427 9.040 2.293 P
6.367 0.471 8.683 P
6.408 4.056 2.137 P
6.501 0.449 4.398 P
6.460 4.078 10.944 P
7.080 2.228 13.092 P
7.121 2.299 6.546 P
8.696 0.034 10.398 P
8.736 4.493 3.852 P
0.221 6.212 13.044 O
0.262 7.369 6.498 O
0.684 1.054 11.101 O
0.724 3.473 4.555 O
0.750 1.043 1.998 O
0.709 3.484 8.544 O
0.845 5.213 2.744 O
0.804 8.368 9.290 O
1.012 5.373 10.181 O
1.053 8.208 3.635 O
1.810 5.299 6.539 O
1.770 8.282 13.085 O
2.359 0.840 5.053 O
2.319 3.687 11.599 O
2.417 0.819 7.993 O
2.457 3.708 1.447 O
2.463 6.255 1.275 O
2.423 7.326 7.822 O
2.491 6.217 11.915 O
2.532 7.364 5.368 O
3.262 5.263 3.306 O
3.221 8.318 9.853 O
3.482 5.270 9.961 O
3.522 8.311 3.415 O
3.667 1.052 1.623 O
3.626 3.475 8.169 O
3.640 1.092 11.552 O
3.680 3.435 5.006 O
5.045 5.619 8.087 O
5.086 7.962 1.541 O
5.099 5.578 4.923 O
5.058 8.002 11.469 O
5.203 0.743 9.677 O
5.244 3.784 3.131 O
5.504 0.736 3.240 O
5.463 3.791 9.786 O
6.194 1.690 7.724 O
6.234 2.837 1.178 O
6.302 1.728 5.271 O
6.262 2.799 11.817 O
6.268 5.346 11.645 O
6.309 8.235 5.099 O
6.407 5.367 1.493 O
6.366 8.214 8.040 O
6.955 0.772 0.007 O
6.915 3.755 6.554 O
7.672 0.846 9.458 O
7.713 3.681 2.911 O
7.921 0.686 3.802 O
7.881 3.841 10.349 O
8.016 5.570 4.548 O
7.976 8.011 11.094 O
8.001 5.581 8.537 O
8.041 8.000 1.991 O
8.464 1.685 6.595 O
8.504 2.842 0.049 O
```

Values from the calculation:
As for the energy of formation from the pure elements: -4947.6 kJ/mol of formula units. As for the space group: P2_1/c.